1.
V3CrP6O24: relaxed, PBE+U. Values from VASP.

Summary:
Formation energy (eV/atom): -2.52
E (MP2020) (eV/cell): -273.9

The structure in Quantum ESPRESSO input format:
```
&SYSTEM
  ibrav = 0, nat = 34, ntyp = 4
/
ATOMIC_SPECIES
V 50.94 V.upf
Cr 52.00 Cr.upf
P 30.97 P.upf
O 16.00 O.upf
ATOMIC_POSITIONS angstrom
V -14.327 6.672 9.863
V -10.683 4.975 7.354
V -6.011 2.799 4.138
Cr -2.361 1.100 1.625
P -10.530 6.299 4.301
P -10.860 1.673 6.951
P -7.752 5.599 8.810
P -8.910 2.169 2.646
P -5.788 6.089 4.529
P -6.136 1.444 7.166
O -12.503 4.873 6.862
O -10.940 6.780 7.843
O -9.662 7.595 4.393
O -11.151 4.456 9.108
O -10.269 5.509 5.617
O -10.098 5.423 3.162
O -11.681 1.401 5.650
O -10.466 3.178 6.907
O -8.899 5.113 7.875
O -10.136 1.771 3.507
O -9.166 3.285 1.681
O -7.074 6.952 4.450
O -9.588 0.879 6.978
O -7.443 4.409 9.773
O -6.576 5.927 7.938
O -7.791 2.578 3.667
O -6.277 4.598 4.500
O -4.948 6.337 5.743
O -6.522 2.329 8.379
O -6.366 2.339 5.899
O -5.566 3.264 2.312
O -6.917 0.172 7.054
O -5.695 0.941 3.696
O -4.136 2.965 4.592
CELL_PARAMETERS angstrom
-2.549 5.826 5.996
-7.867 3.791 -0.353
-6.245 -1.859 5.826
```

2.
Li9Mn2Co5O16: relaxed, PBE+U. Values from VASP.

Summary:
Energy relative to the lowest polymorph listed for this composition (eV per formula unit): 1.23
Formation energy (eV/atom): -1.83
E (MP2020) (eV/cell): -208.6

The structure in Quantum ESPRESSO input format:
```
&SYSTEM
  ibrav = 0, nat = 32, ntyp = 4
/
ATOMIC_SPECIES
Li 6.94 Li.upf
Mn 54.94 Mn.upf
Co 58.93 Co.upf
O 16.00 O.upf
ATOMIC_POSITIONS angstrom
Li -7.740 -2.767 0.346
Li -3.494 -0.786 -1.580
Li -5.663 1.143 -2.037
Li -9.856 -0.815 -0.123
Li -2.197 -1.005 0.998
Li -6.444 -2.965 2.925
Li -8.572 -1.003 2.514
Li -4.370 0.953 0.621
Li -5.842 -0.111 2.836
Mn -7.988 1.833 2.420
Mn -9.262 2.020 -0.197
Co -4.998 -1.822 0.723
Co -7.126 0.062 0.248
Co -4.130 -3.597 -1.471
Co -6.288 -1.633 -1.926
Co -2.834 -3.822 1.106
O -2.325 -4.217 -2.395
O -5.237 -0.407 -0.704
O -7.576 1.532 -0.931
O -4.451 -2.253 -2.905
O -4.024 -0.637 1.913
O -8.283 -2.701 3.839
O -3.130 -2.447 -0.191
O -6.397 1.359 1.490
O -5.796 -3.176 -0.630
O -1.658 -1.066 -2.494
O -4.878 -4.888 -2.883
O -7.941 -1.184 -0.942
O -0.305 -1.270 0.058
O -4.667 -3.371 2.031
O -6.767 -1.357 1.471
O -3.558 -5.082 -0.172
CELL_PARAMETERS angstrom
-2.528 0.371 -5.193
-1.287 -5.706 0.219
-7.379 1.762 3.718
```

3.
LiMn2OF5: relaxed, PBE+U. Values from VASP.

Summary:
Energy relative to the lowest polymorph listed for this composition (eV per formula unit): 0.45
Formation energy (eV/atom): -2.66
E (MP2020) (eV/cell): -234.7

The structure in Quantum ESPRESSO input format:
```
&SYSTEM
  ibrav = 0, nat = 36, ntyp = 4
/
ATOMIC_SPECIES
Li 6.94 Li.upf
Mn 54.94 Mn.upf
O 16.00 O.upf
F 19.00 F.upf
ATOMIC_POSITIONS angstrom
Li 0.019 6.713 1.234
Li 0.019 10.749 3.745
Li 2.319 15.444 1.234
Li 2.319 2.018 3.745
Mn 0.129 4.858 3.795
Mn 4.647 0.969 1.265
Mn 0.129 12.603 1.284
Mn 4.647 16.492 3.776
Mn 2.364 9.700 1.265
Mn 2.208 13.589 3.795
Mn 2.364 7.761 3.776
Mn 2.208 3.872 1.284
O 1.145 5.058 0.331
O 1.145 12.404 2.843
O 1.192 3.673 2.843
O 1.192 13.789 0.331
F 1.090 10.983 0.417
F 1.090 6.479 2.928
F 1.045 0.701 2.876
F 1.045 16.761 0.365
F 1.292 8.030 0.365
F 1.292 9.432 2.876
F 1.247 15.210 2.928
F 1.247 2.252 0.417
F 3.439 13.819 2.211
F 3.439 3.643 4.723
F 3.330 15.123 4.583
F 3.330 2.339 2.072
F 3.396 8.076 2.125
F 3.396 9.386 4.637
F 3.615 0.655 4.637
F 3.615 16.807 2.125
F 3.682 6.392 4.583
F 3.682 11.070 2.072
F 3.572 5.088 2.211
F 3.572 12.374 4.723
CELL_PARAMETERS angstrom
4.674 0.000 0.000
0.000 17.462 0.000
0.000 0.000 5.023
```